1.
MgB6H14O17: relaxed, PBE.

Results
ΔE_f ... -2.00 eV per atom
Density ... 1.8 g cm⁻³
Space group ... P2_1/c (14)
Size of the total moment ... 0.000 Bohr magnetons per cell
Raw total energy ... -951.19 eV/cell

a b c (Å): 10.1563 11.4234 12.8544
angles (deg): 110.08 90.00 90.00
Last column: nearest neighbours and their distance in Å.
Fractional coordinates of all 152 atoms:
Mg 0.5000 0.5000 0.0000  6 O 2.07-2.21
Mg 0.0000 0.0000 0.0000  6 O 2.07-2.21
Mg 0.5000 0.0000 0.5000  6 O 2.08-2.15
Mg 0.0000 0.5000 0.5000  6 O 2.08-2.15
B 0.3728 0.5151 0.2251  4 O 1.46-1.54
B 0.8728 0.9849 0.7749  4 O 1.46-1.54
B 0.6272 0.4849 0.7749  4 O 1.46-1.54
B 0.1272 0.0151 0.2251  4 O 1.46-1.54
B 0.3829 0.2879 0.0824  4 O 1.45-1.52
B 0.8829 0.2121 0.9176  4 O 1.45-1.52
B 0.6171 0.7121 0.9176  4 O 1.45-1.52
B 0.1171 0.7879 0.0824  4 O 1.45-1.52
B 0.5958 0.3970 0.1850  4 O 1.46-1.53
B 0.0958 0.1030 0.8150  4 O 1.46-1.53
B 0.4042 0.6030 0.8150  4 O 1.46-1.53
B 0.9042 0.8970 0.1850  4 O 1.46-1.53
B 0.5508 0.5570 0.3688  3 O 1.38
B 0.0508 0.9430 0.6312  3 O 1.38
B 0.4492 0.4430 0.6312  3 O 1.38
B 0.9492 0.0570 0.3688  3 O 1.38
B 0.5746 0.1651 0.1067  3 O 1.37-1.38
B 0.0746 0.3349 0.8933  3 O 1.37-1.38
B 0.4254 0.8349 0.8933  3 O 1.37-1.38
B 0.9254 0.6651 0.1067  3 O 1.37-1.38
B 0.1750 0.3831 0.1743  3 O 1.37-1.38
B 0.6750 0.1169 0.8257  3 O 1.37-1.38
B 0.8250 0.6169 0.8257  3 O 1.37-1.38
B 0.3250 0.8831 0.1743  3 O 1.37-1.38
H 0.3217 0.6376 0.1413  1 O 0.98
H 0.8217 0.8624 0.8587  1 O 0.98
H 0.6783 0.3624 0.8587  1 O 0.98
H 0.1783 0.1376 0.1413  1 O 0.98
H 0.7198 0.4926 0.1097  1 O 0.99
H 0.2198 0.0074 0.8903  1 O 0.99
H 0.2802 0.5074 0.8903  1 O 0.99
H 0.7802 0.9926 0.1097  1 O 0.99
H 0.3238 0.3033 0.9343  1 O 0.98
H 0.8238 0.1967 0.0657  1 O 0.98
H 0.6762 0.6967 0.0657  1 O 0.98
H 0.1762 0.8033 0.9343  1 O 0.98
H 0.5225 0.6638 0.5251  1 O 0.99
H 0.0225 0.8362 0.4749  1 O 0.99
H 0.4775 0.3362 0.4749  1 O 0.99
H 0.9775 0.1638 0.5251  1 O 0.99
H 0.0019 0.2995 0.1226  1 O 0.99
H 0.5019 0.2005 0.8774  1 O 0.99
H 0.9981 0.7005 0.8774  1 O 0.99
H 0.4981 0.7995 0.1226  1 O 0.99
H 0.5944 0.9764 0.0349  1 O 0.99
H 0.0944 0.5236 0.9651  1 O 0.99
H 0.4056 0.0236 0.9651  1 O 0.99
H 0.9056 0.4764 0.0349  1 O 0.99
H 0.3035 0.0270 0.6626  1 O 0.99
H 0.8035 0.4730 0.3374  1 O 0.99
H 0.6965 0.9730 0.3374  1 O 0.99
H 0.1965 0.5270 0.6626  1 O 0.99
H 0.4486 0.0496 0.7144  1 O 1.00
H 0.9486 0.4504 0.2856  1 O 1.00
H 0.5514 0.9504 0.2856  1 O 1.00
H 0.0514 0.5496 0.7144  1 O 1.00
H 0.6071 0.2439 0.6133  1 O 0.99
H 0.1071 0.2561 0.3867  1 O 0.99
H 0.3929 0.7561 0.3867  1 O 0.99
H 0.8929 0.7439 0.6133  1 O 0.99
H 0.7170 0.1455 0.5522  1 O 0.98
H 0.2170 0.3545 0.4478  1 O 0.98
H 0.2830 0.8545 0.4478  1 O 0.98
H 0.7830 0.6455 0.5522  1 O 0.98
H 0.6782 0.9369 0.6244  1 O 1.00
H 0.1782 0.5631 0.3756  1 O 1.00
H 0.3218 0.0631 0.3756  1 O 1.00
H 0.8218 0.4369 0.6244  1 O 1.00
H 0.7223 0.8610 0.5009  1 O 0.99
H 0.2223 0.6390 0.4991  1 O 0.99
H 0.2777 0.1390 0.4991  1 O 0.99
H 0.7777 0.3610 0.5009  1 O 0.99
H 0.1330 0.3197 0.6157  1 O 0.99
H 0.6330 0.1803 0.3843  1 O 0.99
H 0.8670 0.6803 0.3843  1 O 0.99
H 0.3670 0.8197 0.6157  1 O 0.99
H 0.1463 0.2204 0.6740  1 O 0.98
H 0.6463 0.2796 0.3260  1 O 0.98
H 0.8537 0.7796 0.3260  1 O 0.98
H 0.3537 0.7204 0.6740  1 O 0.98
O 0.3889 0.5762 0.1421  1 H 0.98
O 0.8889 0.9238 0.8579  1 H 0.98
O 0.6111 0.4238 0.8579  1 H 0.98
O 0.1111 0.0762 0.1421  1 H 0.98
O 0.6331 0.4501 0.1012  1 H 0.99
O 0.1331 0.0499 0.8988  1 H 0.99
O 0.3669 0.5499 0.8988  1 H 0.99
O 0.8669 0.9501 0.1012  1 H 0.99
O 0.4045 0.3197 0.9789  1 H 0.98
O 0.9045 0.1803 0.0211  1 H 0.98
O 0.5955 0.6803 0.0211  1 H 0.98
O 0.0955 0.8197 0.9789  1 H 0.98
O 0.5921 0.6130 0.4765  1 H 0.99
O 0.0921 0.8870 0.5235  1 H 0.99
O 0.4079 0.3870 0.5235  1 H 0.99
O 0.9079 0.1130 0.4765  1 H 0.99
O 0.0395 0.3759 0.1778  1 H 0.99
O 0.5395 0.1241 0.8222  1 H 0.99
O 0.9605 0.6241 0.8222  1 H 0.99
O 0.4605 0.8759 0.1778  1 H 0.99
O 0.6379 0.0525 0.0854  1 H 0.99
O 0.1379 0.4475 0.9146  1 H 0.99
O 0.3621 0.9475 0.9146  1 H 0.99
O 0.8621 0.5525 0.0854  1 H 0.99
O 0.4457 0.3900 0.1788  3 B 1.52-1.54
O 0.9457 0.1100 0.8212  3 B 1.52-1.54
O 0.5543 0.6100 0.8212  3 B 1.52-1.54
O 0.0543 0.8900 0.1788  3 B 1.52-1.54
O 0.2340 0.4910 0.2406  2 B 1.37-1.46
O 0.7340 0.0090 0.7594  2 B 1.37-1.46
O 0.7660 0.5090 0.7594  2 B 1.37-1.46
O 0.2660 0.9910 0.2406  2 B 1.37-1.46
O 0.2440 0.2828 0.1052  2 B 1.38-1.45
O 0.7440 0.2172 0.8948  2 B 1.38-1.45
O 0.7560 0.7172 0.8948  2 B 1.38-1.45
O 0.2560 0.7828 0.1052  2 B 1.38-1.45
O 0.4484 0.1692 0.0695  2 B 1.37-1.47
O 0.9484 0.3308 0.9305  2 B 1.37-1.47
O 0.5516 0.8308 0.9305  2 B 1.37-1.47
O 0.0516 0.6692 0.0695  2 B 1.37-1.47
O 0.6456 0.2696 0.1648  2 B 1.37-1.48
O 0.1456 0.2304 0.8352  2 B 1.37-1.48
O 0.3544 0.7304 0.8352  2 B 1.37-1.48
O 0.8544 0.7696 0.1648  2 B 1.37-1.48
O 0.6357 0.4720 0.2978  2 B 1.38-1.46
O 0.1357 0.0280 0.7022  2 B 1.38-1.46
O 0.3643 0.5280 0.7022  2 B 1.38-1.46
O 0.8643 0.9720 0.2978  2 B 1.38-1.46
O 0.4313 0.5859 0.3325  2 B 1.38-1.46
O 0.9313 0.9141 0.6675  2 B 1.38-1.46
O 0.5687 0.4141 0.6675  2 B 1.38-1.46
O 0.0687 0.0859 0.3325  2 B 1.38-1.46
O 0.3980 0.0079 0.6443  2 H 0.99-1.00
O 0.8980 0.4921 0.3557  2 H 0.99-1.00
O 0.6020 0.9921 0.3557  2 H 0.99-1.00
O 0.1020 0.5079 0.6443  2 H 0.99-1.00
O 0.6458 0.9003 0.5468  2 H 0.99-1.00
O 0.1458 0.5997 0.4532  2 H 0.99-1.00
O 0.3542 0.0997 0.4532  2 H 0.99-1.00
O 0.8542 0.4003 0.5468  2 H 0.99-1.00
O 0.6276 0.1539 0.5833  2 H 0.98-0.99
O 0.1276 0.3461 0.4167  2 H 0.98-0.99
O 0.3724 0.8461 0.4167  2 H 0.98-0.99
O 0.8724 0.6539 0.5833  2 H 0.98-0.99
O 0.1389 0.2293 0.6009  2 H 0.98-0.99
O 0.6389 0.2707 0.3991  2 H 0.98-0.99
O 0.8611 0.7707 0.3991  2 H 0.98-0.99
O 0.3611 0.7293 0.6009  2 H 0.98-0.99

2.
Zr5Al3N: relaxed, PBE.

Results
ΔE_f ... -0.75 eV per atom
Density ... 5.5 g cm⁻³
Space group ... P6_3/mcm (193)
Size of the total moment ... 0.012 Bohr magnetons per cell
Raw total energy ... -137.45 eV/cell

a b c (Å): 8.2456 8.2456 5.6897
angles (deg): 90.00 90.00 120.00
Last column: nearest neighbours and their distance in Å.
Fractional coordinates of all 18 atoms:
Zr 0.2232 0.0000 0.2500  2 N 2.33
Zr 0.7768 0.0000 0.7500  2 N 2.33
Zr 0.0000 0.2232 0.2500  2 N 2.33
Zr 0.0000 0.7768 0.7500  2 N 2.33
Zr 0.7768 0.7768 0.2500  2 N 2.33
Zr 0.2232 0.2232 0.7500  2 N 2.33
Zr 0.3333 0.6667 0.0000  2 Zr 2.84, 6 Al 2.89
Zr 0.6667 0.3333 0.0000  2 Zr 2.84, 6 Al 2.89
Zr 0.6667 0.3333 0.5000  2 Zr 2.84, 6 Al 2.89
Zr 0.3333 0.6667 0.5000  2 Zr 2.84, 6 Al 2.89
Al 0.5968 0.0000 0.2500  9 Zr 2.88-3.21
Al 0.4032 0.0000 0.7500  9 Zr 2.88-3.21
Al 0.0000 0.5968 0.2500  9 Zr 2.88-3.21
Al 0.0000 0.4032 0.7500  9 Zr 2.88-3.21
Al 0.4032 0.4032 0.2500  9 Zr 2.88-3.21
Al 0.5968 0.5968 0.7500  9 Zr 2.88-3.21
N 0.0000 0.0000 0.0000  6 Zr 2.33
N 0.0000 0.0000 0.5000  6 Zr 2.33

3.
NpAl8Fe4: relaxed, PBE.

Results
ΔE_f ... -0.31 eV per atom
Density ... 5.9 g cm⁻³
Space group ... I4/mmm (139)
Raw total energy ... -80.84 eV/cell

a b c (Å): 6.6428 6.6428 6.6428
angles (deg): 98.21 98.21 135.60
Last column: nearest neighbours and their distance in Å.
Fractional coordinates of all 13 atoms:
Np 0.0000 0.0000 0.0000  12 Al 2.97-3.15, 8 Fe 3.32
Al 0.5000 0.7197 0.2197  4 Fe 2.52, 6 Al 2.70-2.80
Al 0.2803 0.5000 0.7803  4 Fe 2.52, 6 Al 2.70-2.80
Al 0.7197 0.5000 0.2197  4 Fe 2.52, 6 Al 2.70-2.80
Al 0.5000 0.2803 0.7803  4 Fe 2.52, 6 Al 2.70-2.80
Al 0.0000 0.6580 0.6580  4 Fe 2.64, 5 Al 2.73-2.80
Al 0.0000 0.3420 0.3420  4 Fe 2.64, 5 Al 2.73-2.80
Al 0.6580 0.0000 0.6580  4 Fe 2.64, 5 Al 2.73-2.80
Al 0.3420 0.0000 0.3420  4 Fe 2.64, 5 Al 2.73-2.80
Fe 0.5000 0.0000 0.0000  2 Fe 2.51, 8 Al 2.52-2.64
Fe 0.5000 0.5000 0.5000  2 Fe 2.51, 8 Al 2.52-2.64
Fe 0.0000 0.0000 0.5000  2 Fe 2.51, 8 Al 2.52-2.64
Fe 0.0000 0.5000 0.0000  2 Fe 2.51, 8 Al 2.52-2.64